VASP calculation (PBE+U) on a relaxed Na8Fe6P6O24F9 crystal.

Lattice parameters (Å, degrees): 11.608 11.608 7.092 81.07 81.07 46.50
Positions (direct):
O1 0.497 0.179 0.344
O2 0.180 0.484 0.986
O3 0.484 0.180 0.986
O4 0.611 0.931 0.211
O5 0.820 0.516 0.014
O6 0.039 0.744 0.113
O7 0.961 0.256 0.887
O8 0.389 0.069 0.789
O9 0.744 0.039 0.113
O10 0.821 0.503 0.656
O11 0.282 0.596 0.554
O12 0.516 0.820 0.014
O13 0.256 0.961 0.887
O14 0.154 0.853 0.676
O15 0.069 0.389 0.789
O16 0.853 0.154 0.676
O17 0.179 0.497 0.344
O18 0.596 0.282 0.554
O19 0.404 0.718 0.446
O20 0.503 0.821 0.656
O21 0.718 0.404 0.446
O22 0.931 0.611 0.211
O23 0.846 0.147 0.324
O24 0.147 0.846 0.324
Na1 0.953 0.396 0.353
Na2 0.604 0.047 0.647
Na3 0.915 0.915 0.826
Na4 0.568 0.568 0.139
Na5 0.432 0.432 0.861
Na6 0.047 0.604 0.647
Na7 0.396 0.953 0.353
Na8 0.085 0.085 0.174
F1 0.882 0.882 0.502
F2 0.546 0.546 0.817
F3 0.335 0.335 0.671
F4 0.795 0.795 0.852
F5 0.118 0.118 0.498
F6 0.454 0.454 0.183
F7 0.665 0.665 0.329
F8 0.205 0.205 0.148
F9 0.000 0.000 0.000
Fe1 0.395 0.395 0.415
Fe2 0.605 0.605 0.585
Fe3 0.730 0.730 0.083
Fe4 0.937 0.937 0.250
Fe5 0.063 0.063 0.750
Fe6 0.270 0.270 0.917
P1 0.083 0.583 0.164
P2 0.917 0.417 0.836
P3 0.752 0.248 0.500
P4 0.417 0.917 0.836
P5 0.583 0.083 0.164
P6 0.248 0.752 0.500

## Properties
Its energy of formation is -2.54 eV per atom.

---

VASP calculation (PBE+U) on a relaxed Na2FeSO4F3 crystal.

Lattice parameters (Å, degrees): 7.497 7.461 10.521 77.77 90.00 90.00
Positions (direct):
Fe1 0.000 0.000 0.000
Fe2 0.500 0.000 0.000
Fe3 0.500 0.500 0.500
Fe4 0.000 0.500 0.500
O1 0.250 0.635 0.857
O2 0.087 0.923 0.839
O3 0.250 0.871 0.653
O4 0.750 0.865 0.643
O5 0.750 0.629 0.847
O6 0.413 0.923 0.839
O7 0.913 0.077 0.161
O8 0.413 0.423 0.339
O9 0.587 0.077 0.161
O10 0.250 0.135 0.357
O11 0.750 0.129 0.347
O12 0.750 0.365 0.143
O13 0.250 0.371 0.153
O14 0.087 0.423 0.339
O15 0.913 0.577 0.661
O16 0.587 0.577 0.661
Na1 0.500 0.000 0.500
Na2 0.750 0.195 0.740
Na3 0.000 0.000 0.500
Na4 0.500 0.500 0.000
Na5 0.250 0.305 0.760
Na6 0.000 0.500 0.000
Na7 0.250 0.805 0.260
Na8 0.750 0.695 0.240
F1 0.509 0.750 0.100
F2 0.991 0.250 0.600
F3 0.991 0.751 0.099
F4 0.250 0.011 0.063
F5 0.009 0.250 0.900
F6 0.750 0.488 0.437
F7 0.250 0.511 0.563
F8 0.750 0.989 0.937
F9 0.009 0.749 0.401
F10 0.491 0.749 0.401
F11 0.491 0.250 0.901
F12 0.509 0.250 0.599
S1 0.750 0.168 0.205
S2 0.250 0.332 0.295
S3 0.250 0.832 0.795
S4 0.750 0.668 0.705

## Properties
Its energy of formation is -2.39 eV per atom.

---

VASP calculation (PBE+U) on a relaxed NaFeSO4F crystal.

Lattice parameters (Å, degrees): 6.776 8.791 7.352 90.00 113.60 90.00
Positions (direct):
Na1 0.500 0.838 0.750
Na2 0.000 0.338 0.750
Na3 0.000 0.662 0.250
Na4 0.500 0.162 0.250
O1 0.394 0.721 0.351
O2 0.894 0.221 0.351
O3 0.338 0.920 0.101
O4 0.162 0.420 0.399
O5 0.662 0.920 0.399
O6 0.106 0.779 0.649
O7 0.662 0.080 0.899
O8 0.394 0.279 0.851
O9 0.106 0.221 0.149
O10 0.338 0.080 0.601
O11 0.894 0.779 0.851
O12 0.838 0.420 0.101
O13 0.607 0.279 0.649
O14 0.162 0.580 0.899
O15 0.606 0.721 0.149
O16 0.838 0.580 0.601
F1 0.000 0.086 0.750
F2 0.000 0.914 0.250
F3 0.500 0.414 0.250
F4 0.500 0.586 0.750
Fe1 0.000 0.000 0.000
Fe2 0.500 0.500 0.500
Fe3 0.000 0.000 0.500
Fe4 0.500 0.500 0.000
S1 0.000 0.319 0.250
S2 0.000 0.681 0.750
S3 0.500 0.819 0.250
S4 0.500 0.181 0.750

## Properties
Its energy of formation is -2.16 eV per atom.

---

VASP calculation (PBE+U) on a relaxed Na3FeS2O8F2 crystal.

Lattice parameters (Å, degrees): 6.740 8.949 14.242 90.00 90.00 90.00
Positions (direct):
O1 0.385 0.795 0.206
O2 0.381 0.640 0.065
O3 0.119 0.140 0.565
O4 0.615 0.295 0.294
O5 0.619 0.360 0.935
O6 0.052 0.557 0.797
O7 0.552 0.943 0.703
O8 0.115 0.205 0.206
O9 0.448 0.057 0.297
O10 0.385 0.705 0.706
O11 0.186 0.733 0.388
O12 0.552 0.557 0.203
O13 0.119 0.360 0.065
O14 0.381 0.860 0.565
O15 0.615 0.205 0.794
O16 0.686 0.733 0.612
O17 0.686 0.767 0.112
O18 0.814 0.267 0.612
O19 0.948 0.443 0.203
O20 0.814 0.233 0.112
O21 0.948 0.057 0.703
O22 0.881 0.640 0.935
O23 0.115 0.295 0.706
O24 0.448 0.443 0.797
O25 0.314 0.233 0.888
O26 0.052 0.943 0.297
O27 0.885 0.795 0.794
O28 0.881 0.860 0.435
O29 0.885 0.705 0.294
O30 0.619 0.140 0.435
O31 0.314 0.267 0.388
O32 0.186 0.767 0.888
F1 0.577 0.928 0.904
F2 0.577 0.572 0.404
F3 0.923 0.072 0.904
F4 0.077 0.572 0.596
F5 0.423 0.428 0.596
F6 0.923 0.428 0.404
F7 0.077 0.928 0.096
F8 0.423 0.072 0.096
Fe1 0.250 0.500 0.695
Fe2 0.750 0.000 0.805
Fe3 0.250 0.000 0.195
Fe4 0.750 0.500 0.305
Na1 0.021 0.666 0.096
Na2 0.979 0.334 0.904
Na3 0.021 0.834 0.596
Na4 0.521 0.666 0.904
Na5 0.979 0.166 0.404
Na6 0.521 0.834 0.404
Na7 0.750 0.000 0.048
Na8 0.750 0.500 0.548
Na9 0.479 0.334 0.096
Na10 0.479 0.166 0.596
Na11 0.250 0.500 0.452
Na12 0.250 0.000 0.952
S1 0.004 0.693 0.856
S2 0.504 0.693 0.144
S3 0.996 0.307 0.144
S4 0.004 0.807 0.356
S5 0.996 0.193 0.644
S6 0.504 0.807 0.644
S7 0.496 0.307 0.856
S8 0.496 0.193 0.356

## Properties
Its energy of formation is -2.24 eV per atom.

---

VASP calculation (PBE+U) on a relaxed RbNa2FeF6 crystal.

Lattice parameters (Å, degrees): 6.280 6.280 6.280 60.00 60.00 60.00
Positions (direct):
F1 0.789 0.211 0.211
F2 0.789 0.211 0.789
F3 0.211 0.211 0.789
F4 0.789 0.789 0.211
F5 0.211 0.789 0.211
F6 0.211 0.789 0.789
Rb1 0.500 0.500 0.500
Na1 0.750 0.750 0.750
Na2 0.250 0.250 0.250
Fe1 0.000 0.000 0.000

## Properties
Its energy of formation is -2.65 eV per atom.

---

VASP calculation (PBE+U) on a relaxed NaSrFeF6 crystal.

Lattice parameters (Å, degrees): 5.474 9.468 10.518 90.00 90.00 90.00
Positions (direct):
Na1 0.043 0.647 0.084
Na2 0.957 0.147 0.416
Na3 0.543 0.853 0.916
Na4 0.457 0.353 0.584
Fe1 0.963 0.501 0.374
Fe2 0.037 0.001 0.126
Fe3 0.463 0.999 0.626
Fe4 0.537 0.499 0.874
F1 0.281 0.841 0.548
F2 0.712 0.357 0.413
F3 0.140 0.496 0.534
F4 0.288 0.857 0.087
F5 0.360 0.504 0.034
F6 0.841 0.838 0.182
F7 0.860 0.996 0.966
F8 0.290 0.377 0.796
F9 0.159 0.338 0.318
F10 0.219 0.159 0.048
F11 0.719 0.479 0.714
F12 0.219 0.021 0.286
F13 0.210 0.623 0.296
F14 0.659 0.162 0.682
F15 0.790 0.123 0.204
F16 0.710 0.877 0.704
F17 0.719 0.341 0.952
F18 0.341 0.662 0.818
F19 0.788 0.643 0.913
F20 0.781 0.659 0.452
F21 0.281 0.979 0.786
F22 0.781 0.521 0.214
F23 0.640 0.004 0.466
F24 0.212 0.143 0.587
Sr1 0.493 0.815 0.323
Sr2 0.007 0.185 0.823
Sr3 0.993 0.685 0.677
Sr4 0.507 0.315 0.177

## Properties
Its energy of formation is -3.29 eV per atom. The value obtained for the largest piezoelectric modulus is 0.0 C/m2.

---

VASP calculation (PBE+U) on a relaxed Na7Sr2Fe7F32 crystal.

Lattice parameters (Å, degrees): 7.630 7.630 23.378 99.00 99.00 92.37
Positions (direct):
F1 0.234 0.016 0.477
F2 0.690 0.143 0.330
F3 0.301 0.294 0.809
F4 0.475 0.965 0.575
F5 0.206 0.199 0.691
F6 0.070 0.125 0.191
F7 0.860 0.813 0.670
F8 0.784 0.859 0.102
F9 0.434 0.880 0.309
F10 0.743 0.461 0.477
F11 0.182 0.757 0.898
F12 0.978 0.582 0.583
F13 0.357 0.810 0.170
F14 0.359 0.284 0.602
F15 0.306 0.556 0.750
F16 0.918 0.522 0.917
F17 0.380 0.934 0.809
F18 0.620 0.066 0.191
F19 0.961 0.243 0.977
F20 0.008 0.515 0.809
F21 0.484 0.266 0.023
F22 0.499 0.395 0.917
F23 0.699 0.706 0.191
F24 0.643 0.190 0.830
F25 0.895 0.999 0.417
F26 0.516 0.734 0.977
F27 0.310 0.857 0.670
F28 0.600 0.610 0.575
F29 0.082 0.478 0.083
F30 0.794 0.801 0.309
F31 0.818 0.243 0.102
F32 0.015 0.508 0.309
F33 0.501 0.605 0.083
F34 0.375 0.430 0.309
F35 0.535 0.025 0.925
F36 0.566 0.120 0.691
F37 0.056 0.806 0.250
F38 0.257 0.682 0.398
F39 0.465 0.975 0.075
F40 0.039 0.757 0.023
F41 0.008 0.258 0.516
F42 0.992 0.485 0.191
F43 0.022 0.418 0.417
F44 0.625 0.570 0.691
F45 0.257 0.539 0.523
F46 0.242 0.492 0.984
F47 0.525 0.035 0.425
F48 0.758 0.508 0.016
F49 0.140 0.187 0.330
F50 0.743 0.318 0.602
F51 0.105 0.001 0.583
F52 0.313 0.360 0.170
F53 0.890 0.900 0.925
F54 0.216 0.141 0.898
F55 0.944 0.194 0.750
F56 0.985 0.492 0.691
F57 0.400 0.390 0.425
F58 0.110 0.100 0.075
F59 0.694 0.444 0.250
F60 0.766 0.984 0.523
F61 0.992 0.742 0.484
F62 0.687 0.640 0.830
F63 0.930 0.875 0.809
F64 0.641 0.716 0.398
Fe1 0.500 0.500 0.000
Fe2 0.000 0.500 0.500
Fe3 0.655 0.932 0.365
Fe4 0.875 0.625 0.250
Fe5 0.345 0.068 0.635
Fe6 0.000 0.500 0.000
Fe7 0.210 0.432 0.365
Fe8 0.568 0.845 0.135
Fe9 0.790 0.568 0.635
Fe10 0.125 0.375 0.750
Fe11 0.000 0.000 0.500
Fe12 0.068 0.290 0.135
Fe13 0.432 0.155 0.865
Fe14 0.932 0.710 0.865
Na1 0.562 0.315 0.133
Na2 0.070 0.818 0.133
Na3 0.371 0.621 0.241
Na4 0.879 0.129 0.259
Na5 0.121 0.871 0.741
Na6 0.930 0.182 0.867
Na7 0.682 0.430 0.367
Na8 0.629 0.379 0.759
Na9 0.815 0.062 0.633
Na10 0.438 0.685 0.867
Na11 0.185 0.938 0.367
Na12 0.375 0.125 0.250
Na13 0.625 0.875 0.750
Na14 0.318 0.570 0.633
Sr1 0.243 0.993 0.986
Sr2 0.507 0.257 0.514
Sr3 0.493 0.743 0.486
Sr4 0.757 0.007 0.014

## Properties
Its energy of formation is -2.96 eV per atom.